Here is a geometry-optimized Y2MgCuO4 structure from Materials Project. Energies are from GGA-PBE.

Energy with MP2020 corrections = -7.148 eV per atom
Energy above the lowest structure with this stoichiometry = 67.0 meV/atom
E_form = -18.76 eV/f.u.
Space-group type = I4/mmm, No. 139
Crystal system = tetragonal

Lattice parameters (Å, degrees): 8.7616 8.7616 8.7616 153.17 153.17 38.31
With the nearest neighbours (Å) after each atom.
Positions (direct):
Y: 0.1922 0.1922 0.0000  4 O 2.25
Y: 0.8078 0.8078 0.0000  4 O 2.25
Mg: 0.0000 0.0000 0.0000  4 O 2.03
Cu: 0.5000 0.5000 0.0000  4 O 2.03
O: 0.0000 0.5000 0.5000  2 Mg 2.03, 2 Cu 2.03
O: 0.2500 0.7500 0.5000  4 Y 2.25
O: 0.5000 0.0000 0.5000  2 Mg 2.03, 2 Cu 2.03
O: 0.7500 0.2500 0.5000  4 Y 2.25



Here is a geometry-optimized CsLiAcO3 structure from Materials Project. Energies are from GGA-PBE.

Energy with MP2020 corrections = -5.811 eV per atom
Energy above the lowest structure with this stoichiometry = 114.1 meV/atom
E_form = -13.09 eV/f.u.
Space-group type = P4/mmm, No. 123
Crystal system = tetragonal

Lattice parameters (Å, degrees): 4.7077 4.7077 5.4034 90.00 90.00 90.00
With the nearest neighbours (Å) after each atom.
Positions (direct):
Cs: 0.0000 0.0000 0.0000  2 Li 2.70
Li: 0.0000 0.0000 0.5000  4 O 2.35
Ac: 0.5000 0.5000 0.5000  4 O 2.35
O: 0.0000 0.5000 0.5000  2 Ac 2.35, 2 Li 2.35
O: 0.5000 0.0000 0.5000  2 Ac 2.35, 2 Li 2.35
O: 0.5000 0.5000 0.0000  2 Ac 2.70



Here is a geometry-optimized NbCl3O structure from Materials Project. Energies are from GGA-PBE.

Energy with MP2020 corrections = -5.880 eV per atom
E_form = -8.81 eV/f.u.
Largest piezoelectric modulus = 0.01 C/m2
Space-group type = P-42_1m, No. 113
Crystal system = tetragonal

Lattice parameters (Å, degrees): 11.5011 11.5011 4.0011 90.00 90.00 90.00
With the nearest neighbours (Å) after each atom.
Positions (direct):
Nb: 0.1230 0.3770 0.1956  1 O 1.80
Nb: 0.3770 0.8770 0.8044  1 O 1.80
Nb: 0.6230 0.1230 0.8044  1 O 1.80
Nb: 0.8770 0.6230 0.1956  1 O 1.80
Cl: 0.0984 0.5984 0.2622  2 Nb 2.58
Cl: 0.1004 0.1793 0.2549  1 Nb 2.30
Cl: 0.1793 0.8996 0.7451  1 Nb 2.30
Cl: 0.3207 0.3996 0.2549  1 Nb 2.30
Cl: 0.3996 0.6793 0.7451  1 Nb 2.30
Cl: 0.4016 0.0984 0.7378  2 Nb 2.58
Cl: 0.5984 0.9016 0.7378  2 Nb 2.58
Cl: 0.6004 0.3207 0.7451  1 Nb 2.30
Cl: 0.6793 0.6004 0.2549  1 Nb 2.30
Cl: 0.8207 0.1004 0.7451  1 Nb 2.30
Cl: 0.8996 0.8207 0.2549  1 Nb 2.30
Cl: 0.9016 0.4016 0.2622  2 Nb 2.58
O: 0.1148 0.3852 0.7477  1 Nb 1.80
O: 0.3852 0.8852 0.2523  1 Nb 1.80
O: 0.6148 0.1148 0.2523  1 Nb 1.80
O: 0.8852 0.6148 0.7477  1 Nb 1.80



Here is a geometry-optimized Sm3ReO8 structure from Materials Project. Energies are from GGA-PBE.

Energy with MP2020 corrections = -8.792 eV per atom
E_form = -39.32 eV/f.u.
Space-group type = P2_1/c, No. 14
Crystal system = monoclinic

Lattice parameters (Å, degrees): 7.4199 6.1503 14.8397 90.00 111.06 90.00
With the nearest neighbours (Å) after each atom.
Positions (direct):
Sm: 0.0954 0.2386 0.2014  7 O 2.36-2.64
Sm: 0.0954 0.2614 0.7014  7 O 2.36-2.64
Sm: 0.1609 0.2000 0.4458  5 O 2.25-2.45
Sm: 0.1609 0.3000 0.9458  5 O 2.25-2.45
Sm: 0.3948 0.6881 0.3330  5 O 2.31-2.45
Sm: 0.3948 0.8119 0.8330  5 O 2.31-2.45
Sm: 0.6052 0.1881 0.1670  5 O 2.31-2.45
Sm: 0.6052 0.3119 0.6670  5 O 2.31-2.45
Sm: 0.8391 0.7000 0.0542  5 O 2.25-2.45
Sm: 0.8391 0.8000 0.5542  5 O 2.25-2.45
Sm: 0.9046 0.7386 0.2986  7 O 2.36-2.64
Sm: 0.9046 0.7614 0.7986  7 O 2.36-2.64
Re: 0.3209 0.7456 0.0905  6 O 1.83-1.98
Re: 0.3209 0.7544 0.5905  6 O 1.83-1.98
Re: 0.6791 0.2456 0.4095  6 O 1.83-1.98
Re: 0.6791 0.2544 0.9095  6 O 1.83-1.98
O: 0.0895 0.6978 0.9821  1 Re 1.91
O: 0.0895 0.8022 0.4821  1 Re 1.91
O: 0.1472 0.0304 0.8406  4 Sm 2.25-2.42
O: 0.1472 0.4696 0.3406  4 Sm 2.25-2.42
O: 0.1694 0.6501 0.1690  1 Re 1.98
O: 0.1694 0.8499 0.6690  1 Re 1.98
O: 0.1849 0.5303 0.8270  4 Sm 2.31-2.43
O: 0.1849 0.9697 0.3270  4 Sm 2.31-2.43
O: 0.2512 0.0430 0.0964  1 Re 1.91
O: 0.2512 0.4570 0.5964  1 Re 1.91
O: 0.3783 0.0501 0.5888  1 Re 1.87
O: 0.3783 0.4499 0.0888  1 Re 1.87
O: 0.4704 0.2054 0.7890  1 Re 1.92
O: 0.4704 0.2946 0.2890  1 Re 1.92
O: 0.4734 0.6974 0.5203  1 Re 1.83
O: 0.4734 0.8026 0.0203  1 Re 1.83
O: 0.5266 0.1974 0.9797  1 Re 1.83
O: 0.5266 0.3026 0.4797  1 Re 1.83
O: 0.5296 0.7054 0.7110  1 Re 1.92
O: 0.5296 0.7946 0.2110  1 Re 1.92
O: 0.6217 0.5501 0.9112  1 Re 1.87
O: 0.6217 0.9499 0.4112  1 Re 1.87
O: 0.7488 0.5430 0.4036  1 Re 1.91
O: 0.7488 0.9570 0.9036  1 Re 1.91
O: 0.8151 0.0303 0.6730  4 Sm 2.31-2.43
O: 0.8151 0.4697 0.1730  4 Sm 2.31-2.43
O: 0.8306 0.1501 0.3310  1 Re 1.98
O: 0.8306 0.3499 0.8310  1 Re 1.98
O: 0.8528 0.5304 0.6594  4 Sm 2.25-2.42
O: 0.8528 0.9696 0.1594  4 Sm 2.25-2.42
O: 0.9105 0.1978 0.5179  1 Re 1.91
O: 0.9105 0.3022 0.0179  1 Re 1.91



Here is a geometry-optimized Na2U2O7 structure from Materials Project. Energies are from GGA-PBE.

Energy with MP2020 corrections = -8.715 eV per atom
Energy above the lowest structure with this stoichiometry = 4.6 meV/atom
E_form = -36.00 eV/f.u.
Space-group type = P2_1/m, No. 11
Crystal system = monoclinic

Lattice parameters (Å, degrees): 6.5413 7.8996 6.8997 90.00 110.61 90.00
With the nearest neighbours (Å) after each atom.
Positions (direct):
Na: 0.0000 0.0000 0.0000  6 O 2.55-2.67
Na: 0.0000 0.5000 0.0000  6 O 2.55-2.67
Na: 0.0136 0.2500 0.4937  6 O 2.41-2.66
Na: 0.9864 0.7500 0.5063  6 O 2.41-2.66
U: 0.4926 0.2500 0.9658  2 O 1.86-1.89
U: 0.5000 0.0000 0.5000  2 O 1.89
U: 0.5000 0.5000 0.5000  2 O 1.89
U: 0.5074 0.7500 0.0342  2 O 1.86-1.89
O: 0.1881 0.2500 0.8652  1 U 1.86
O: 0.1932 0.5260 0.4104  1 U 1.89
O: 0.1932 0.9740 0.4104  1 U 1.89
O: 0.1994 0.7500 0.9133  1 U 1.89
O: 0.4575 0.2500 0.6182  3 U 2.19-2.33
O: 0.4670 0.0451 0.1744  2 U 2.21
O: 0.4670 0.4549 0.1744  2 U 2.21
O: 0.5330 0.5451 0.8256  2 U 2.21
O: 0.5330 0.9549 0.8256  2 U 2.21
O: 0.5425 0.7500 0.3818  3 U 2.19-2.33
O: 0.8006 0.2500 0.0867  1 U 1.89
O: 0.8068 0.0260 0.5896  1 U 1.89
O: 0.8068 0.4740 0.5896  1 U 1.89
O: 0.8119 0.7500 0.1348  1 U 1.86



Here is a geometry-optimized Ho2P7Rh12 structure from Materials Project. Energies are from GGA-PBE.

E_form = -19.37 eV/f.u.
Space-group type = P-3, No. 147
Crystal system = trigonal

Lattice parameters (Å, degrees): 9.6025 9.6025 3.8632 90.00 90.00 120.00
With the nearest neighbours (Å) after each atom.
Positions (direct):
Ho: 0.3333 0.6667 0.2490  6 P 3.01-3.02, 6 Rh 3.03
Ho: 0.6667 0.3333 0.7510  6 P 3.01-3.02, 6 Rh 3.03
P: 0.0000 0.0000 0.0000  6 Rh 2.38
P: 0.1189 0.4052 0.7469  7 Rh 2.32-2.59
P: 0.2863 0.8811 0.7469  7 Rh 2.32-2.59
P: 0.4052 0.2863 0.2531  7 Rh 2.32-2.59
P: 0.5948 0.7137 0.7469  7 Rh 2.32-2.59
P: 0.7137 0.1189 0.2531  7 Rh 2.32-2.59
P: 0.8811 0.5948 0.2531  7 Rh 2.32-2.59
Rh: 0.0691 0.6182 0.7491  4 P 2.32-2.59
Rh: 0.1114 0.8500 0.2490  4 P 2.34-2.48
Rh: 0.1500 0.2614 0.2490  4 P 2.34-2.48
Rh: 0.2614 0.1114 0.7510  4 P 2.34-2.48
Rh: 0.3818 0.4509 0.7491  4 P 2.32-2.59
Rh: 0.4509 0.0691 0.2509  4 P 2.32-2.59
Rh: 0.5491 0.9309 0.7491  4 P 2.32-2.59
Rh: 0.6182 0.5491 0.2509  4 P 2.32-2.59
Rh: 0.7386 0.8886 0.2490  4 P 2.34-2.48
Rh: 0.8500 0.7386 0.7510  4 P 2.34-2.48
Rh: 0.8886 0.1500 0.7510  4 P 2.34-2.48
Rh: 0.9309 0.3818 0.2509  4 P 2.32-2.59



Here is a geometry-optimized USeO10 structure from Materials Project. Energies are from GGA-PBE.

Energy with MP2020 corrections = -6.454 eV per atom
E_form = -13.18 eV/f.u.
Space-group type = C2/c, No. 15
Crystal system = monoclinic

Lattice parameters (Å, degrees): 9.4513 9.4513 12.5327 116.35 116.35 66.37
With the nearest neighbours (Å) after each atom.
Positions (direct):
U: 0.0198 0.3362 0.2473  3 O 1.82-1.89
U: 0.3362 0.0198 0.7473  3 O 1.82-1.89
U: 0.6638 0.9802 0.2527  3 O 1.82-1.89
U: 0.9802 0.6638 0.7527  3 O 1.82-1.89
Se: 0.2276 0.6224 0.5646  4 O 1.64-1.70
Se: 0.3776 0.7724 0.9354  4 O 1.64-1.70
Se: 0.6224 0.2276 0.0646  4 O 1.64-1.70
Se: 0.7724 0.3776 0.4354  4 O 1.64-1.70
O: 0.1048 0.5132 0.8334  1 U 1.82
O: 0.1181 0.5654 0.4111  1 Se 1.68
O: 0.1238 0.2316 0.1229  1 U 1.89
O: 0.1459 0.2226 0.3574  1 U 1.82
O: 0.1645 0.5657 0.6438  1 Se 1.70
O: 0.1705 0.8192 0.8855  1 Se 1.70
O: 0.1808 0.8295 0.6145  1 Se 1.70
O: 0.1963 0.7971 0.1990  1 O 1.23
O: 0.2029 0.8037 0.3010  1 O 1.23
O: 0.2226 0.1459 0.8574  1 U 1.82
O: 0.2316 0.1238 0.6229  1 U 1.89
O: 0.2374 0.5172 0.1219  1 O 1.22
O: 0.2569 0.5146 0.2238  1 O 1.22
O: 0.4244 0.5417 0.5909  1 Se 1.64
O: 0.4343 0.8355 0.8562  1 Se 1.70
O: 0.4346 0.8819 0.0889  1 Se 1.68
O: 0.4583 0.5756 0.9091  1 Se 1.64
O: 0.4828 0.7626 0.3781  1 O 1.22
O: 0.4854 0.7431 0.2762  1 O 1.22
O: 0.4868 0.8952 0.6666  1 U 1.82
O: 0.5132 0.1048 0.3334  1 U 1.82
O: 0.5146 0.2569 0.7238  1 O 1.22
O: 0.5172 0.2374 0.6219  1 O 1.22
O: 0.5417 0.4244 0.0909  1 Se 1.64
O: 0.5654 0.1181 0.9111  1 Se 1.68
O: 0.5657 0.1645 0.1438  1 Se 1.70
O: 0.5756 0.4583 0.4091  1 Se 1.64
O: 0.7431 0.4854 0.7762  1 O 1.22
O: 0.7626 0.4828 0.8781  1 O 1.22
O: 0.7684 0.8762 0.3771  1 U 1.89
O: 0.7774 0.8541 0.1426  1 U 1.82
O: 0.7971 0.1963 0.6990  1 O 1.23
O: 0.8037 0.2029 0.8010  1 O 1.23
O: 0.8192 0.1705 0.3855  1 Se 1.70
O: 0.8295 0.1808 0.1145  1 Se 1.70
O: 0.8355 0.4343 0.3562  1 Se 1.70
O: 0.8541 0.7774 0.6426  1 U 1.82
O: 0.8762 0.7684 0.8771  1 U 1.89
O: 0.8819 0.4346 0.5889  1 Se 1.68
O: 0.8952 0.4868 0.1666  1 U 1.82



Here is a geometry-optimized K2IrAuF6 structure from Materials Project. Energies are from GGA-PBE.

Energy with MP2020 corrections = -4.540 eV per atom
E_form = -19.58 eV/f.u.
Space-group type = Fm-3m, No. 225
Crystal system = cubic

Lattice parameters (Å, degrees): 6.2995 6.2995 6.2995 60.00 60.00 60.00
With the nearest neighbours (Å) after each atom.
Positions (direct):
K: 0.2500 0.2500 0.2500  12 F 3.15
K: 0.7500 0.7500 0.7500  12 F 3.15
Ir: 0.0000 0.0000 0.0000  6 F 2.05
Au: 0.5000 0.5000 0.5000  6 F 2.41
F: 0.2297 0.2297 0.7703  1 Ir 2.05
F: 0.2297 0.7703 0.2297  1 Ir 2.05
F: 0.2297 0.7703 0.7703  1 Ir 2.05
F: 0.7703 0.2297 0.2297  1 Ir 2.05
F: 0.7703 0.2297 0.7703  1 Ir 2.05
F: 0.7703 0.7703 0.2297  1 Ir 2.05



Here is a geometry-optimized SmPS4 structure from Materials Project. Energies are from GGA-PBE.

Energy with MP2020 corrections = -5.833 eV per atom
E_form = -8.32 eV/f.u.
Space-group type = I4_1/acd, No. 142
Crystal system = tetragonal

Lattice parameters (Å, degrees): 12.3769 12.3769 12.3769 127.49 127.49 77.45
With the nearest neighbours (Å) after each atom.
Positions (direct):
Sm: 0.1250 0.3750 0.7500  8 S 2.94-2.97
Sm: 0.1250 0.8750 0.2500  8 S 2.89-3.03
Sm: 0.3750 0.1250 0.2500  8 S 2.94-2.97
Sm: 0.3750 0.6250 0.7500  8 S 2.89-3.03
Sm: 0.6250 0.3750 0.2500  8 S 2.89-3.03
Sm: 0.6250 0.8750 0.7500  8 S 2.94-2.97
Sm: 0.8750 0.1250 0.7500  8 S 2.89-3.03
Sm: 0.8750 0.6250 0.2500  8 S 2.94-2.97
P: 0.2123 0.2500 0.4623  4 S 2.05
P: 0.2500 0.2877 0.0377  4 S 2.05
P: 0.2500 0.7877 0.5377  4 S 2.05
P: 0.2877 0.7500 0.0377  4 S 2.05
P: 0.7123 0.2500 0.9623  4 S 2.05
P: 0.7500 0.2123 0.4623  4 S 2.05
P: 0.7500 0.7123 0.9623  4 S 2.05
P: 0.7877 0.7500 0.5377  4 S 2.05
S: 0.0885 0.8839 0.4763  1 P 2.05
S: 0.0923 0.3878 0.9763  1 P 2.05
S: 0.0963 0.6638 0.9371  1 P 2.05
S: 0.1122 0.4077 0.5237  1 P 2.05
S: 0.1161 0.0923 0.2046  1 P 2.05
S: 0.1592 0.0963 0.9326  1 P 2.05
S: 0.1638 0.5963 0.4371  1 P 2.05
S: 0.2267 0.1592 0.5629  1 P 2.05
S: 0.2733 0.8362 0.9326  1 P 2.05
S: 0.3362 0.7733 0.4326  1 P 2.05
S: 0.3408 0.2733 0.9371  1 P 2.05
S: 0.3839 0.5885 0.9763  1 P 2.05
S: 0.3878 0.9115 0.2954  1 P 2.05
S: 0.4037 0.3408 0.5674  1 P 2.05
S: 0.4077 0.3839 0.2954  1 P 2.05
S: 0.4115 0.8878 0.7954  1 P 2.05
S: 0.5885 0.1122 0.2046  1 P 2.05
S: 0.5923 0.6161 0.7046  1 P 2.05
S: 0.5963 0.6592 0.4326  1 P 2.05
S: 0.6122 0.0885 0.7046  1 P 2.05
S: 0.6161 0.4115 0.0237  1 P 2.05
S: 0.6592 0.7267 0.0629  1 P 2.05
S: 0.6638 0.2267 0.5674  1 P 2.05
S: 0.7267 0.1638 0.0674  1 P 2.05
S: 0.7733 0.8408 0.4371  1 P 2.05
S: 0.8362 0.4037 0.5629  1 P 2.05
S: 0.8408 0.9037 0.0674  1 P 2.05
S: 0.8839 0.9077 0.7954  1 P 2.05
S: 0.8878 0.5923 0.4763  1 P 2.05
S: 0.9037 0.3362 0.0629  1 P 2.05
S: 0.9077 0.6122 0.0237  1 P 2.05
S: 0.9115 0.1161 0.5237  1 P 2.05



Here is a geometry-optimized CuWSe2 structure from Materials Project. Energies are from GGA-PBE.

Energy with MP2020 corrections = -6.391 eV per atom
E_form = -1.52 eV/f.u.
Space-group type = P-3m1, No. 164
Crystal system = trigonal

Lattice parameters (Å, degrees): 3.2918 3.2918 17.8543 90.00 90.00 120.00
With the nearest neighbours (Å) after each atom.
Positions (direct):
Cu: 0.3333 0.6667 0.0409  3 Cu 2.40
Cu: 0.6667 0.3333 0.9591  3 Cu 2.40
W: 0.3333 0.6667 0.2667  6 Se 2.54-2.56
W: 0.6667 0.3333 0.7333  6 Se 2.54-2.56
Se: 0.3333 0.6667 0.6386  3 W 2.54
Se: 0.3333 0.6667 0.8294  3 W 2.56
Se: 0.6667 0.3333 0.1706  3 W 2.56
Se: 0.6667 0.3333 0.3614  3 W 2.54



Here is a geometry-optimized TiBe12 structure from Materials Project. Energies are from GGA-PBE.

Energy above the lowest structure with this stoichiometry = 0.0 meV/atom
E_form = -1.92 eV/f.u.
Space-group type = I4/mmm, No. 139
Crystal system = tetragonal

Lattice parameters (Å, degrees): 5.5849 5.5849 5.5849 97.90 97.90 136.47
With the nearest neighbours (Å) after each atom.
Positions (direct):
Ti: 0.0000 0.0000 0.0000  20 Be 2.57-2.79
Be: 0.0000 0.0000 0.5000  10 Be 2.07-2.23
Be: 0.0000 0.3507 0.3507  9 Be 2.19-2.34
Be: 0.0000 0.5000 0.0000  10 Be 2.07-2.23
Be: 0.0000 0.6493 0.6493  9 Be 2.19-2.34
Be: 0.2818 0.5000 0.7818  10 Be 2.12-2.34
Be: 0.3507 0.0000 0.3507  9 Be 2.19-2.34
Be: 0.5000 0.0000 0.0000  10 Be 2.07-2.23
Be: 0.5000 0.2818 0.7818  10 Be 2.12-2.34
Be: 0.5000 0.5000 0.5000  10 Be 2.07-2.23
Be: 0.5000 0.7182 0.2182  10 Be 2.12-2.34
Be: 0.6493 0.0000 0.6493  9 Be 2.19-2.34
Be: 0.7182 0.5000 0.2182  10 Be 2.12-2.34



Here is a geometry-optimized Mn2CrCo structure from Materials Project. Energies are from GGA-PBE.

E_form = -0.19 eV/f.u.
Space-group type = Fm-3m, No. 225
Crystal system = cubic

Lattice parameters (Å, degrees): 4.0656 4.0656 4.0656 60.00 60.00 60.00
With the nearest neighbours (Å) after each atom.
Positions (direct):
Mn: 0.2500 0.2500 0.2500  4 Cr 2.49, 4 Co 2.49
Mn: 0.7500 0.7500 0.7500  4 Co 2.49, 4 Cr 2.49
Cr: 0.0000 0.0000 0.0000  8 Mn 2.49
Co: 0.5000 0.5000 0.5000  8 Mn 2.49



Number 1: volume 17.10 A^3/atom, E -6.80 eV/atom. Number 2: volume 19.96 A^3/atom, E -5.47 eV/atom. Number 3: volume 26.46 A^3/atom, E -5.74 eV/atom. Number 4: volume 13.17 A^3/atom, E -8.33 eV/atom. Number 5: volume 15.17 A^3/atom, E -8.28 eV/atom. Number 6: volume 14.69 A^3/atom, E -7.37 eV/atom. Number 7: volume 18.12 A^3/atom, E -6.32 eV/atom. Number 8: volume 17.68 A^3/atom, E -4.26 eV/atom. Number 9: volume 24.12 A^3/atom, E -5.50 eV/atom. Number 10: volume 20.94 A^3/atom, E -6.16 eV/atom. Number 11: volume 8.57 A^3/atom, E -4.21 eV/atom. Number 12: volume 11.88 A^3/atom, E -8.82 eV/atom.